Entry 1:
The following is a DFT calculation (GGA+U) of a relaxed structure of Li2VFeP2H2O10.

Calculated values
**Energy above the lowest structure with this stoichiometry**: 8.2 meV/atom
**Space group**: P-1, No. 2
**Formation energy from the elements**: -2.3618 eV per atom
**E_tot**: -240.30 eV for the cell shown

a b c (Å): 6.968 7.409 7.989
angles (deg): 91.18 92.67 117.28
Positions (direct):
Li  0.073  0.823  0.676
Li  0.429  0.177  0.825
Li  0.571  0.823  0.175
Li  0.927  0.177  0.324
V  0.000  0.000  0.000
V  0.500  0.500  0.500
Fe  0.000  0.500  0.000
Fe  0.500  0.000  0.500
P  0.481  0.768  0.842
P  0.018  0.231  0.658
P  0.982  0.769  0.342
P  0.519  0.232  0.158
H  0.790  0.659  0.849
H  0.291  0.663  0.351
H  0.709  0.337  0.649
H  0.210  0.341  0.151
O  0.325  0.658  0.981
O  0.112  0.119  0.773
O  0.387  0.881  0.728
O  0.689  0.926  0.940
O  0.190  0.929  0.442
O  0.534  0.620  0.738
O  0.175  0.341  0.520
O  0.035  0.621  0.239
O  0.943  0.722  0.895
O  0.444  0.727  0.394
O  0.556  0.273  0.606
O  0.057  0.278  0.105
O  0.965  0.379  0.761
O  0.825  0.659  0.480
O  0.466  0.380  0.262
O  0.810  0.071  0.558
O  0.311  0.074  0.060
O  0.613  0.119  0.272
O  0.888  0.881  0.227
O  0.675  0.342  0.019

=====

Entry 2:
The following is a DFT calculation (GGA+U) of a relaxed structure of SrDyCr4O12.

Calculated values
**Space group**: Amm2, No. 38
**Formation energy from the elements**: -2.1163 eV per atom
**E_tot**: -126.14 eV for the cell shown

a b c (Å): 5.349 5.349 7.429
angles (deg): 90.00 90.00 89.97
Positions (direct):
Sr  0.983  0.983  0.500
Dy  0.529  0.529  0.000
Cr  0.506  0.013  0.751
Cr  0.506  0.013  0.249
Cr  0.013  0.506  0.249
Cr  0.013  0.506  0.751
O  0.774  0.218  0.757
O  0.218  0.774  0.757
O  0.218  0.774  0.243
O  0.774  0.218  0.243
O  0.708  0.708  0.725
O  0.290  0.290  0.799
O  0.290  0.290  0.201
O  0.708  0.708  0.275
O  0.520  0.948  0.000
O  0.467  0.036  0.500
O  0.948  0.520  0.000
O  0.036  0.467  0.500

=====

Entry 3:
The following is a DFT calculation (GGA+U) of a relaxed structure of Ba3V2P6H6O24.

Calculated values
**Space group**: R-3c, No. 167
**Formation energy from the elements**: -2.5890 eV per atom
**E_tot**: -563.55 eV for the cell shown

a b c (Å): 13.582 13.582 13.582
angles (deg): 41.09 41.09 41.09
Positions (direct):
Ba  0.750  0.161  0.339
Ba  0.661  0.250  0.839
Ba  0.839  0.661  0.250
Ba  0.161  0.339  0.750
Ba  0.339  0.750  0.161
Ba  0.250  0.839  0.661
V  0.250  0.250  0.250
V  0.000  0.000  0.000
V  0.500  0.500  0.500
V  0.750  0.750  0.750
P  0.602  0.047  0.255
P  0.047  0.255  0.602
P  0.898  0.245  0.453
P  0.255  0.602  0.047
P  0.547  0.102  0.755
P  0.755  0.547  0.102
P  0.245  0.453  0.898
P  0.453  0.898  0.245
P  0.102  0.755  0.547
P  0.745  0.398  0.953
P  0.953  0.745  0.398
P  0.398  0.953  0.745
H  0.986  0.065  0.391
H  0.609  0.014  0.935
H  0.514  0.109  0.435
H  0.935  0.609  0.014
H  0.891  0.565  0.486
H  0.565  0.486  0.891
H  0.435  0.514  0.109
H  0.065  0.391  0.986
H  0.109  0.435  0.514
H  0.486  0.891  0.565
H  0.391  0.986  0.065
H  0.014  0.935  0.609
O  0.781  0.001  0.117
O  0.482  0.189  0.173
O  0.311  0.018  0.327
O  0.327  0.311  0.018
O  0.189  0.173  0.482
O  0.001  0.117  0.781
O  0.938  0.098  0.604
O  0.903  0.182  0.387
O  0.018  0.327  0.311
O  0.173  0.482  0.189
O  0.613  0.097  0.818
O  0.902  0.396  0.062
O  0.896  0.402  0.562
O  0.597  0.113  0.318
O  0.719  0.383  0.499
O  0.117  0.781  0.001
O  0.438  0.104  0.598
O  0.396  0.062  0.902
O  0.682  0.403  0.887
O  0.501  0.281  0.617
O  0.887  0.682  0.403
O  0.818  0.613  0.097
O  0.598  0.438  0.104
O  0.617  0.501  0.281
O  0.383  0.499  0.719
O  0.402  0.562  0.896
O  0.182  0.387  0.903
O  0.113  0.318  0.597
O  0.499  0.719  0.383
O  0.318  0.597  0.113
O  0.562  0.896  0.402
O  0.604  0.938  0.098
O  0.883  0.219  0.999
O  0.281  0.617  0.501
O  0.403  0.887  0.682
O  0.104  0.598  0.438
O  0.098  0.604  0.938
O  0.387  0.903  0.182
O  0.982  0.673  0.689
O  0.827  0.518  0.811
O  0.097  0.818  0.613
O  0.062  0.902  0.396
O  0.999  0.883  0.219
O  0.811  0.827  0.518
O  0.673  0.689  0.982
O  0.518  0.811  0.827
O  0.689  0.982  0.673
O  0.219  0.999  0.883

=====

Entry 4:
The following is a DFT calculation (GGA+U) of a relaxed structure of ZnCr3S6O24.

Calculated values
**Space group**: R3, No. 146
**Formation energy from the elements**: -1.9264 eV per atom
**E_tot**: -216.80 eV for the cell shown

a b c (Å): 8.880 8.880 8.880
angles (deg): 55.85 55.85 55.85
Positions (direct):
Zn  0.851  0.851  0.851
Cr  0.645  0.645  0.645
Cr  0.356  0.356  0.356
Cr  0.151  0.151  0.151
S  0.254  0.534  0.961
S  0.043  0.746  0.461
S  0.461  0.043  0.746
S  0.534  0.961  0.254
S  0.961  0.254  0.534
S  0.746  0.461  0.043
O  0.484  0.892  0.702
O  0.702  0.484  0.892
O  0.051  0.667  0.992
O  0.286  0.342  0.976
O  0.032  0.712  0.649
O  0.325  0.018  0.951
O  0.892  0.702  0.484
O  0.386  0.617  0.764
O  0.018  0.951  0.325
O  0.370  0.240  0.617
O  0.240  0.617  0.370
O  0.649  0.032  0.712
O  0.342  0.976  0.286
O  0.764  0.386  0.617
O  0.617  0.764  0.386
O  0.992  0.051  0.667
O  0.617  0.370  0.240
O  0.107  0.310  0.505
O  0.667  0.992  0.051
O  0.976  0.286  0.342
O  0.712  0.649  0.032
O  0.951  0.325  0.018
O  0.310  0.505  0.107
O  0.505  0.107  0.310

=====

Entry 5:
The following is a DFT calculation (GGA+U) of a relaxed structure of PuNiO3.

Calculated values
**Space group**: Pm-3m, No. 221
**Formation energy from the elements**: -2.1613 eV per atom
**E_tot**: -41.10 eV for the cell shown

a b c (Å): 3.777 3.777 3.777
angles (deg): 90.00 90.00 90.00
Positions (direct):
Pu  0.000  0.000  0.000
Ni  0.500  0.500  0.500
O  0.500  0.500  0.000
O  0.500  0.000  0.500
O  0.000  0.500  0.500

=====

Entry 6:
The following is a DFT calculation (GGA+U) of a relaxed structure of Mn6O5F7.

Calculated values
**Energy above the lowest structure with this stoichiometry**: 0.0 meV/atom
**Space group**: C2, No. 5
**Formation energy from the elements**: -2.4406 eV per atom
**E_tot**: -120.37 eV for the cell shown

a b c (Å): 5.739 5.739 7.910
angles (deg): 68.52 68.52 67.42
Positions (direct):
Mn  0.338  0.662  0.000
Mn  0.003  0.327  0.835
Mn  0.309  0.691  0.500
Mn  0.014  0.337  0.325
Mn  0.663  0.986  0.675
Mn  0.673  0.997  0.165
O  0.305  0.022  0.837
O  0.014  0.986  0.500
O  0.699  0.626  0.837
O  0.374  0.301  0.163
O  0.978  0.695  0.163
F  0.628  0.372  0.500
F  0.563  0.900  0.460
F  0.229  0.560  0.788
F  0.896  0.227  0.129
F  0.773  0.104  0.871
F  0.440  0.771  0.212
F  0.100  0.437  0.540